(1)
Crystalline Li4Ti4Mn4CrO18 at its relaxed geometry. Source: the Materials Project, functional PBE+U.

Calculated values
Symmetry ... No. 55
Energy with MP2020 corrections ... -0.3035 hartree per atom

Structure (POSCAR):
```
Li4Ti4Mn4CrO18
1.0
9.151 0.000 0.000
0.000 25.222 0.000
0.000 0.000 2.956
Li Ti Mn Cr O
8 8 8 2 36
direct
0.191 0.003 0.000 Li
0.205 0.805 0.000 Li
0.295 0.305 0.000 Li
0.309 0.503 0.000 Li
0.691 0.497 0.000 Li
0.705 0.695 0.000 Li
0.795 0.195 0.000 Li
0.809 0.997 0.000 Li
0.003 0.897 0.000 Ti
0.146 0.195 0.500 Ti
0.354 0.695 0.500 Ti
0.497 0.397 0.000 Ti
0.503 0.603 0.000 Ti
0.646 0.305 0.500 Ti
0.854 0.805 0.500 Ti
0.997 0.103 0.000 Ti
0.019 0.686 0.000 Mn
0.144 0.414 0.500 Mn
0.356 0.914 0.500 Mn
0.481 0.186 0.000 Mn
0.519 0.814 0.000 Mn
0.644 0.086 0.500 Mn
0.856 0.586 0.500 Mn
0.981 0.314 0.000 Mn
0.000 0.500 0.000 Cr
0.500 0.000 0.000 Cr
0.005 0.421 0.000 O
0.042 0.058 0.500 O
0.053 0.840 0.500 O
0.109 0.242 0.000 O
0.115 0.338 0.500 O
0.146 0.710 0.500 O
0.150 0.492 0.500 O
0.178 0.142 0.000 O
0.213 0.914 0.000 O
0.287 0.414 0.000 O
0.322 0.642 0.000 O
0.350 0.992 0.500 O
0.354 0.210 0.500 O
0.385 0.838 0.500 O
0.391 0.742 0.000 O
0.447 0.340 0.500 O
0.458 0.558 0.500 O
0.495 0.921 0.000 O
0.505 0.079 0.000 O
0.542 0.442 0.500 O
0.553 0.660 0.500 O
0.609 0.258 0.000 O
0.615 0.162 0.500 O
0.646 0.790 0.500 O
0.650 0.008 0.500 O
0.678 0.358 0.000 O
0.713 0.586 0.000 O
0.787 0.086 0.000 O
0.822 0.858 0.000 O
0.850 0.508 0.500 O
0.854 0.290 0.500 O
0.885 0.662 0.500 O
0.891 0.758 0.000 O
0.947 0.160 0.500 O
0.958 0.942 0.500 O
0.995 0.579 0.000 O
```

=====

(2)
Crystalline Li4Mn3V2Cr3O16 at its relaxed geometry. Source: the Materials Project, functional PBE+U.

Calculated values
Offset from the most stable computed form ... 0.00 eV/f.u.
Symmetry ... No. 1
Energy with MP2020 corrections ... -0.2954 hartree per atom

Structure (POSCAR):
```
Li4Mn3V2Cr3O16
1.0
5.862 0.000 0.000
-2.876 5.135 0.000
-0.009 -0.094 9.509
Li Mn V Cr O
4 3 2 3 16
direct
0.000 0.000 0.000 Li
0.001 0.003 0.498 Li
0.333 0.659 0.595 Li
0.663 0.320 0.099 Li
0.170 0.337 0.279 Mn
0.336 0.167 0.781 Mn
0.828 0.164 0.780 Mn
0.330 0.673 0.007 V
0.669 0.343 0.504 V
0.169 0.826 0.281 Cr
0.661 0.826 0.281 Cr
0.828 0.655 0.780 Cr
0.003 0.006 0.186 O
0.037 0.510 0.156 O
0.154 0.801 0.906 O
0.161 0.322 0.894 O
0.329 0.653 0.387 O
0.335 0.172 0.396 O
0.470 0.508 0.152 O
0.476 0.951 0.150 O
0.522 0.035 0.656 O
0.539 0.489 0.639 O
0.664 0.323 0.885 O
0.670 0.837 0.896 O
0.836 0.173 0.397 O
0.837 0.667 0.398 O
0.960 0.465 0.656 O
0.999 0.998 0.687 O
```

=====

(3)
Crystalline Li10Mn2V3Cr3O16 at its relaxed geometry. Source: the Materials Project, functional PBE+U.

Calculated values
Symmetry ... No. 1
Energy with MP2020 corrections ... -0.2702 hartree per atom

Structure (POSCAR):
```
Li10Mn2V3Cr3O16
1.0
6.005 0.000 0.000
-2.984 5.262 0.000
-0.036 -0.100 9.987
Li Mn V Cr O
10 2 3 3 16
direct
0.000 0.000 0.000 Li
0.005 0.578 0.999 Li
0.136 0.850 0.787 Li
0.195 0.394 0.500 Li
0.399 0.983 0.006 Li
0.467 0.522 0.288 Li
0.604 0.790 0.503 Li
0.621 0.392 0.499 Li
0.795 0.188 0.077 Li
0.802 0.176 0.577 Li
0.140 0.861 0.537 Mn
0.473 0.526 0.039 Mn
0.143 0.354 0.775 V
0.637 0.353 0.777 V
0.970 0.528 0.276 V
0.466 0.024 0.277 Cr
0.638 0.850 0.777 Cr
0.969 0.025 0.276 Cr
0.115 0.349 0.162 O
0.138 0.866 0.160 O
0.296 0.181 0.393 O
0.297 0.699 0.390 O
0.314 0.200 0.892 O
0.314 0.686 0.892 O
0.469 0.525 0.659 O
0.487 0.027 0.664 O
0.641 0.349 0.165 O
0.641 0.875 0.162 O
0.794 0.678 0.891 O
0.799 0.186 0.390 O
0.812 0.183 0.890 O
0.816 0.700 0.390 O
0.958 0.496 0.659 O
0.960 0.017 0.663 O
```

=====

(4)
Crystalline Li4Mn3V3Cr2O16 at its relaxed geometry. Source: the Materials Project, functional PBE+U.

Calculated values
Symmetry ... No. 1
Energy with MP2020 corrections ... -0.2956 hartree per atom

Structure (POSCAR):
```
Li4Mn3V3Cr2O16
1.0
5.855 0.000 0.000
2.868 5.173 0.000
0.227 -0.020 9.575
Li Mn V Cr O
4 3 3 2 16
direct
0.000 0.000 0.000 Li
0.009 0.027 0.501 Li
0.340 0.332 0.899 Li
0.673 0.680 0.401 Li
0.173 0.178 0.215 Mn
0.343 0.840 0.717 Mn
0.840 0.352 0.719 Mn
0.173 0.671 0.218 V
0.667 0.175 0.219 V
0.833 0.851 0.716 V
0.336 0.357 0.490 Cr
0.676 0.662 0.987 Cr
0.007 0.019 0.813 O
0.008 0.013 0.314 O
0.047 0.510 0.347 O
0.152 0.696 0.606 O
0.158 0.195 0.603 O
0.330 0.821 0.101 O
0.338 0.337 0.110 O
0.490 0.495 0.340 O
0.495 0.057 0.348 O
0.541 0.959 0.843 O
0.542 0.504 0.847 O
0.674 0.671 0.613 O
0.680 0.178 0.610 O
0.829 0.327 0.104 O
0.836 0.838 0.113 O
0.970 0.527 0.839 O
```

=====

(5)
Crystalline Li4Mn3V2Cr3O16 at its relaxed geometry. Source: the Materials Project, functional PBE+U.

Calculated values
Offset from the most stable computed form ... 0.44 eV/f.u.
Symmetry ... No. 1
Energy with MP2020 corrections ... -0.2948 hartree per atom

Structure (POSCAR):
```
Li4Mn3V2Cr3O16
1.0
5.821 0.000 0.000
2.907 5.058 0.000
0.000 0.070 9.417
Li Mn V Cr O
4 3 2 3 16
direct
0.000 0.000 0.000 Li
0.001 0.997 0.499 Li
0.339 0.321 0.397 Li
0.671 0.659 0.901 Li
0.173 0.164 0.718 Mn
0.663 0.164 0.718 Mn
0.832 0.336 0.219 Mn
0.332 0.336 0.997 V
0.667 0.667 0.495 V
0.173 0.655 0.717 Cr
0.342 0.824 0.217 Cr
0.834 0.824 0.217 Cr
0.000 0.000 0.312 O
0.002 0.996 0.812 O
0.046 0.473 0.847 O
0.168 0.663 0.103 O
0.169 0.167 0.101 O
0.338 0.324 0.611 O
0.339 0.822 0.600 O
0.480 0.474 0.847 O
0.485 0.030 0.842 O
0.525 0.511 0.343 O
0.527 0.946 0.345 O
0.664 0.167 0.101 O
0.672 0.656 0.110 O
0.836 0.329 0.602 O
0.840 0.821 0.600 O
0.965 0.511 0.342 O
```

=====

(6)
Crystalline Li4MnCrW2O12 at its relaxed geometry. Source: the Materials Project, functional PBE+U.

Calculated values
Symmetry ... No. 1
Maximum piezoelectric response ... 5.73 C/m²
Energy with MP2020 corrections ... -0.2852 hartree per atom

Structure (POSCAR):
```
Li4MnCrW2O12
1.0
5.088 0.000 0.000
0.010 5.354 0.000
0.011 0.495 7.371
Li Mn Cr W O
4 1 1 2 12
direct
0.000 0.000 0.000 Li
0.000 0.043 0.518 Li
0.498 0.543 0.021 Li
0.500 0.496 0.497 Li
0.001 0.464 0.230 Mn
0.496 0.966 0.733 Cr
0.501 0.966 0.233 W
0.997 0.470 0.731 W
0.117 0.446 0.477 O
0.190 0.143 0.781 O
0.199 0.759 0.164 O
0.305 0.263 0.164 O
0.312 0.643 0.782 O
0.382 0.951 0.478 O
0.615 0.950 0.978 O
0.690 0.645 0.281 O
0.699 0.262 0.667 O
0.805 0.766 0.666 O
0.813 0.147 0.284 O
0.882 0.452 0.979 O
```

=====

(7)
Crystalline Li4Mn3Cr3W2O16 at its relaxed geometry. Source: the Materials Project, functional PBE+U.

Calculated values
Symmetry ... No. 8
Energy with MP2020 corrections ... -0.3045 hartree per atom

Structure (POSCAR):
```
Li4Mn3Cr3W2O16
1.0
5.223 -3.016 0.000
5.223 3.016 0.000
-0.269 0.000 9.778
Li Mn Cr W O
4 3 3 2 16
direct
0.000 0.000 0.000 Li
0.000 0.000 0.499 Li
0.339 0.339 0.078 Li
0.674 0.674 0.582 Li
0.172 0.172 0.776 Mn
0.341 0.830 0.275 Mn
0.830 0.341 0.275 Mn
0.171 0.664 0.774 Cr
0.664 0.171 0.774 Cr
0.832 0.832 0.272 Cr
0.335 0.335 0.502 W
0.670 0.670 0.001 W
0.002 0.002 0.684 O
0.047 0.492 0.639 O
0.167 0.652 0.400 O
0.174 0.174 0.412 O
0.337 0.337 0.875 O
0.346 0.830 0.898 O
0.482 0.482 0.647 O
0.492 0.047 0.639 O
0.527 0.527 0.123 O
0.538 0.966 0.132 O
0.652 0.167 0.400 O
0.674 0.674 0.377 O
0.830 0.346 0.898 O
0.832 0.832 0.888 O
0.966 0.538 0.132 O
0.999 0.999 0.186 O
```

=====

(8)
Crystalline Li14Cr2N8O at its relaxed geometry. Source: the Materials Project, functional PBE+U.

Calculated values
Symmetry ... No. 147
Energy with MP2020 corrections ... -0.1979 hartree per atom

Structure (POSCAR):
```
Li14Cr2N8O
1.0
5.813 0.000 0.000
-2.906 5.034 0.000
0.000 0.000 8.226
Li Cr N O
14 2 8 1
direct
0.000 0.000 0.243 Li
0.000 0.000 0.757 Li
0.040 0.352 0.086 Li
0.072 0.696 0.410 Li
0.304 0.376 0.410 Li
0.313 0.960 0.086 Li
0.352 0.313 0.914 Li
0.376 0.072 0.590 Li
0.624 0.928 0.410 Li
0.648 0.687 0.086 Li
0.687 0.040 0.914 Li
0.696 0.624 0.590 Li
0.928 0.304 0.590 Li
0.960 0.648 0.914 Li
0.333 0.667 0.739 Cr
0.667 0.333 0.261 Cr
0.061 0.693 0.669 N
0.307 0.368 0.669 N
0.333 0.667 0.952 N
0.368 0.061 0.331 N
0.632 0.939 0.669 N
0.667 0.333 0.048 N
0.693 0.632 0.331 N
0.939 0.307 0.331 N
0.000 0.000 0.000 O
```

=====

(9)
Crystalline NaLi5Ti3Cr3P9O36 at its relaxed geometry. Source: the Materials Project, functional PBE+U.

Calculated values
Symmetry ... No. 1
Energy with MP2020 corrections ... -0.2905 hartree per atom

Structure (POSCAR):
```
NaLi5Ti3Cr3P9O36
1.0
8.464 0.000 0.000
4.220 7.851 0.000
0.010 1.047 20.875
Na Li Ti Cr P O
2 10 6 6 18 72
direct
0.000 0.000 0.000 Na
0.339 0.328 0.668 Na
0.106 0.217 0.141 Li
0.186 0.957 0.392 Li
0.240 0.771 0.585 Li
0.439 0.546 0.805 Li
0.482 0.708 0.943 Li
0.522 0.294 0.060 Li
0.580 0.098 0.249 Li
0.779 0.872 0.475 Li
0.852 0.633 0.727 Li
0.913 0.430 0.919 Li
0.151 0.702 0.213 Ti
0.191 0.605 0.951 Ti
0.473 0.057 0.382 Ti
0.534 0.941 0.619 Ti
0.820 0.368 0.546 Ti
0.862 0.283 0.285 Ti
0.137 0.730 0.716 Cr
0.198 0.612 0.452 Cr
0.481 0.043 0.879 Cr
0.530 0.946 0.119 Cr
0.806 0.395 0.050 Cr
0.865 0.276 0.785 Cr
0.052 0.331 0.417 P
0.098 0.093 0.654 P
0.151 0.419 0.820 P
0.199 0.900 0.845 P
0.246 0.230 0.011 P
0.287 0.995 0.248 P
0.386 0.663 0.084 P
0.431 0.428 0.321 P
0.482 0.755 0.489 P
0.529 0.237 0.512 P
0.579 0.564 0.677 P
0.626 0.327 0.916 P
0.716 0.995 0.752 P
0.760 0.764 0.986 P
0.818 0.088 0.155 P
0.863 0.569 0.177 P
0.914 0.901 0.344 P
0.957 0.660 0.582 P
0.004 0.211 0.707 O
0.013 0.777 0.292 O
0.019 0.178 0.588 O
0.031 0.627 0.653 O
0.038 0.563 0.202 O
0.042 0.283 0.001 O
0.052 0.082 0.836 O
0.068 0.487 0.432 O
0.083 0.695 0.538 O
0.091 0.923 0.656 O
0.101 0.157 0.237 O
0.104 0.507 0.887 O
0.137 0.808 0.899 O
0.225 0.508 0.772 O
0.238 0.163 0.419 O
0.250 0.794 0.785 O
0.260 0.636 0.130 O
0.275 0.836 0.232 O
0.281 0.390 0.004 O
0.289 0.235 0.829 O
0.299 0.055 0.656 O
0.303 0.696 0.013 O
0.305 0.772 0.461 O
0.308 0.157 0.080 O
0.335 0.546 0.373 O
0.348 0.103 0.961 O
0.353 0.507 0.254 O
0.357 0.975 0.319 O
0.375 0.883 0.873 O
0.378 0.611 0.668 O
0.383 0.418 0.502 O
0.402 0.820 0.098 O
0.418 0.027 0.205 O
0.420 0.256 0.327 O
0.431 0.840 0.555 O
0.444 0.500 0.908 O
0.470 0.146 0.565 O
0.551 0.851 0.442 O
0.563 0.492 0.087 O
0.574 0.131 0.450 O
0.595 0.962 0.797 O
0.608 0.175 0.897 O
0.613 0.723 0.672 O
0.628 0.025 0.683 O
0.628 0.570 0.499 O
0.634 0.377 0.323 O
0.640 0.106 0.127 O
0.643 0.486 0.746 O
0.668 0.882 0.040 O
0.685 0.441 0.626 O
0.686 0.839 0.920 O
0.702 0.292 0.987 O
0.707 0.228 0.534 O
0.709 0.958 0.337 O
0.715 0.750 0.168 O
0.733 0.153 0.765 O
0.739 0.596 0.989 O
0.754 0.362 0.872 O
0.766 0.174 0.221 O
0.769 0.823 0.572 O
0.806 0.472 0.228 O
0.894 0.174 0.107 O
0.897 0.826 0.753 O
0.919 0.464 0.116 O
0.935 0.296 0.465 O
0.943 0.503 0.564 O
0.953 0.055 0.339 O
0.960 0.902 0.165 O
0.964 0.714 0.990 O
0.969 0.442 0.794 O
0.970 0.352 0.349 O
0.977 0.820 0.412 O
```

=====

Number 1: formation enthalpy at 0 K -2.628 eV/atom. Number 2: formation enthalpy at 0 K -2.274 eV/atom. Number 3: formation enthalpy at 0 K -2.271 eV/atom. Number 4: formation enthalpy at 0 K -2.300 eV/atom. Number 5: formation enthalpy at 0 K -2.258 eV/atom. Number 6: formation enthalpy at 0 K -2.174 eV/atom. Number 7: formation enthalpy at 0 K -2.244 eV/atom. Number 8: formation enthalpy at 0 K -0.679 eV/atom. Number 9: formation enthalpy at 0 K -2.811 eV/atom.